(1)
The following is a DFT calculation (r²SCAN) of a relaxed structure of HoTaO4.

raw total energy = -253.78 eV per cell
ΔE_f = -3.588 eV per atom

Cell: 5.0966 5.4360 5.2883 Å, 90.00 96.40 90.00°
With the nearest neighbours (Å) after each atom.
Space group P2/c (No. 13)
Unique sites:
Ho: 0.0000 0.2336 0.2500  8 O 2.27-2.51
Ta: 0.5000 0.3037 0.7500  4 O 1.87-1.98
O: 0.2498 0.0815 0.5970  1 Ta 1.87
O: 0.2668 0.4371 0.9927  2 Ta 1.98-2.21

=====

(2)
The following is a DFT calculation (r²SCAN) of a relaxed structure of Tb5Si4.

raw total energy = -794.81 eV per cell
ΔE_f = -0.830 eV per atom

Cell: 7.4890 14.6429 7.7084 Å, 90.00 90.00 90.00°
With the nearest neighbours (Å) after each atom.
Space group Pnma (No. 62)
Unique sites:
Tb: 0.0333 0.0995 0.1836  6 Si 3.06-3.15
Tb: 0.1436 0.7500 0.5112  5 Si 2.93-3.08
Tb: 0.1865 0.1223 0.6803  6 Si 2.86-3.04
Si: 0.0164 0.7500 0.1040  1 Si 2.54
Si: 0.1408 0.5405 0.4730  1 Si 2.46
Si: 0.2406 0.2500 0.3737  1 Si 2.54

=====

(3)
The following is a DFT calculation (r²SCAN) of a relaxed structure of Li2MgPb.

raw total energy = -266.47 eV per cell
ΔE_f = -0.347 eV per atom

Cell: 6.8434 6.8434 6.8434 Å, 90.00 90.00 90.00°
With the nearest neighbours (Å) after each atom.
Space group F-43m (No. 216)
Unique sites:
Li: 0.0000 0.0000 0.0000  4 Li 2.96, 4 Mg 2.96
Li: 0.2500 0.2500 0.2500  4 Pb 2.96, 4 Li 2.96
Mg: 0.2500 0.2500 0.7500  4 Pb 2.96, 4 Li 2.96
Pb: 0.0000 0.0000 0.5000  4 Li 2.96, 4 Mg 2.96

=====

(4)
The following is a DFT calculation (r²SCAN) of a relaxed structure of SiO2.

raw total energy = -1072.07 eV per cell
ΔE_f = -3.020 eV per atom

Cell: 7.5083 14.2262 18.9830 Å, 90.00 90.00 90.00°
With the nearest neighbours (Å) after each atom.
Space group Immm (No. 71)
Unique sites:
Si: 0.0000 0.0000 0.1539  4 O 1.60-1.61
Si: 0.0000 0.2009 0.0836  4 O 1.59-1.61
Si: 0.2064 0.2019 0.3249  4 O 1.60-1.61
Si: 0.2064 0.5000 0.2266  4 O 1.61
O: 0.0000 0.0913 0.1045  2 Si 1.60-1.61
O: 0.0000 0.2110 0.0000  2 Si 1.59
O: 0.0000 0.2173 0.3440  2 Si 1.61
O: 0.0000 0.5000 0.2497  2 Si 1.61
O: 0.1759 0.0000 0.2026  2 Si 1.61
O: 0.1760 0.2508 0.1143  2 Si 1.60-1.61
O: 0.2499 0.0912 0.3206  2 Si 1.61
O: 0.2500 0.2500 0.2500  2 Si 1.61

=====

(5)
The following is a DFT calculation (r²SCAN) of a relaxed structure of K2Nb3Se6.

raw total energy = -740.83 eV per cell
ΔE_f = -1.191 eV per atom

Cell: 16.5018 10.6858 6.1696 Å, 90.00 90.00 90.00°
With the nearest neighbours (Å) after each atom.
Space group Amm2 (No. 38)
Unique sites:
K: 0.0000 0.1668 0.0000  6 Se 3.23-3.24, 3 K 3.56
K: 0.5000 0.1665 0.3335  6 Se 3.23, 3 K 3.56
Nb: 0.2500 0.1672 0.0003  6 Se 2.63-2.64
Nb: 0.2507 0.0000 0.4987  6 Se 2.62-2.63
Se: 0.1509 0.0000 0.1685  3 Nb 2.62-2.63
Se: 0.1510 0.1652 0.6655  3 Nb 2.62-2.63
Se: 0.3494 0.0000 0.1635  3 Nb 2.63
Se: 0.3494 0.1658 0.6679  3 Nb 2.62-2.64

=====

(6)
The following is a DFT calculation (r²SCAN) of a relaxed structure of Gd2ZnRu.

raw total energy = -489.37 eV per cell
ΔE_f = -0.303 eV per atom

Cell: 7.0002 7.0002 7.0002 Å, 90.00 90.00 90.00°
With the nearest neighbours (Å) after each atom.
Space group Fm-3m (No. 225)
Unique sites:
Gd: 0.2500 0.2500 0.2500  4 Ru 3.03, 4 Zn 3.03
Zn: 0.0000 0.0000 0.0000  8 Gd 3.03
Ru: 0.0000 0.0000 0.5000  8 Gd 3.03

=====

Number 1: mass density 9.3 g/cm3. Number 2: mass density 7.1 g/cm3. Number 3: mass density 5.1 g/cm3. Number 4: mass density 1.8 g/cm3. Number 5: mass density 5.1 g/cm3. Number 6: mass density 9.3 g/cm3.